# 1
! PrB4 meta-GGA r2SCAN relaxed; values from VASP
&SYSTEM
  ibrav = 0, nat = 20, ntyp = 2
/
ATOMIC_SPECIES
B 10.81 B.upf
Pr 140.91 Pr.upf
ATOMIC_POSITIONS angstrom
B -5.455 -6.027 0.705
B -5.293 -2.993 -0.574
B -4.738 -4.602 -0.064
B -3.534 -2.428 2.156
B -2.920 1.521 0.093
B -6.104 -7.203 -0.448
B -3.683 -2.511 -1.152
B -2.966 -1.087 -1.922
B -4.387 -3.645 -4.715
B -4.887 -4.686 -3.373
B -4.491 -4.024 -1.779
B -3.128 -4.121 -0.643
B -0.756 0.394 0.024
B -4.033 -3.469 3.498
B -2.317 0.089 -0.768
B -3.930 -3.089 0.562
Pr -2.781 -5.449 1.792
Pr -1.210 -2.345 0.350
Pr -1.964 -3.580 -3.126
Pr -3.534 -6.683 -1.684
CELL_PARAMETERS angstrom
-3.676 1.915 0.117
-2.192 -3.856 -5.765
-2.553 -5.173 4.430
! Magnetization   0.0 μB/f.u.


# 2
! PrBPt4 meta-GGA r2SCAN relaxed; values from VASP
&SYSTEM
  ibrav = 0, nat = 12, ntyp = 3
/
ATOMIC_SPECIES
B 10.81 B.upf
Pt 195.08 Pt.upf
Pr 140.91 Pr.upf
ATOMIC_POSITIONS angstrom
B -3.247 -3.290 1.841
B -0.675 -3.287 3.675
Pt 0.729 -1.700 3.062
Pt -2.845 -3.523 3.998
Pt -3.129 -1.705 0.312
Pt -1.042 -2.705 -1.254
Pt -1.037 -2.169 5.541
Pt -4.896 -2.174 2.792
Pt 1.530 -2.702 0.579
Pt -1.078 -3.054 1.518
Pr -2.205 -0.585 3.095
Pr 0.000 0.000 0.000
CELL_PARAMETERS angstrom
-3.615 -2.709 -3.087
4.102 -2.699 2.412
-4.410 -1.170 6.191
! Magnetization   0.0 μB/f.u.


Number 1: energy relative to the elements -0.608 eV/atom. Number 2: energy relative to the elements -0.862 eV/atom.